Record 1
Material: Fe3Mo6PtN2
Method: DFT, PBE
State: optimized geometry

Summary:
Space-group type ... P2_1 (4)

a = 6.704 Å, b = 6.705 Å, c = 6.719 Å
α = 90.00°, β = 90.15°, γ = 90.00°
Atoms (fractional coordinates):
Fe 0.061 0.000 0.171
Fe 0.179 0.752 0.932
Fe 0.424 0.864 0.697
Fe 0.576 0.364 0.303
Fe 0.821 0.252 0.068
Fe 0.939 0.500 0.829
Mo 0.054 0.810 0.547
Mo 0.120 0.135 0.805
Mo 0.200 0.385 0.122
Mo 0.290 0.486 0.632
Mo 0.372 0.726 0.295
Mo 0.454 0.057 0.043
Mo 0.546 0.557 0.957
Mo 0.628 0.226 0.705
Mo 0.710 0.986 0.368
Mo 0.800 0.885 0.878
Mo 0.880 0.635 0.195
Mo 0.946 0.310 0.453
Pt 0.315 0.118 0.434
Pt 0.685 0.618 0.566
N 0.124 0.557 0.376
N 0.374 0.307 0.873
N 0.626 0.807 0.127
N 0.876 0.057 0.624


Record 2
Material: Fe3Mo6RhN2
Method: DFT, PBE
State: optimized geometry

Summary:
Space-group type ... P2_1 (4)

a = 6.675 Å, b = 6.691 Å, c = 6.700 Å
α = 90.00°, β = 90.24°, γ = 90.00°
Atoms (fractional coordinates):
Fe 0.064 0.000 0.171
Fe 0.179 0.751 0.931
Fe 0.424 0.861 0.694
Fe 0.576 0.361 0.306
Fe 0.821 0.251 0.069
Fe 0.936 0.500 0.829
Mo 0.052 0.807 0.547
Mo 0.120 0.135 0.802
Mo 0.201 0.382 0.123
Mo 0.292 0.481 0.630
Mo 0.372 0.726 0.295
Mo 0.453 0.055 0.045
Mo 0.547 0.555 0.955
Mo 0.628 0.226 0.705
Mo 0.708 0.981 0.370
Mo 0.799 0.882 0.877
Mo 0.880 0.635 0.198
Mo 0.948 0.307 0.453
Rh 0.316 0.115 0.433
Rh 0.684 0.615 0.567
N 0.124 0.554 0.377
N 0.374 0.305 0.873
N 0.626 0.805 0.127
N 0.876 0.054 0.623


Asked for total magnetic moment across the records above, the calculation gives 5.9, 6.4 μB/f.u. in order.
Asked for DFT total energy across the records above, the calculation gives -9.649, -9.718 eV per atom in order.
Asked for calculated formation energy across the records above, the calculation gives -273, -235 meV per atom in order.